[1]
# TbSiNi

A relaxed structure of TbSiNi (GGA-PBE, Materials Project).

abc: 4.197 6.941 7.187
angles: 90.00 90.00 90.00
Element x y z (fractional)
Si1 0.750 0.696 0.404
Si2 0.250 0.804 0.904
Si3 0.250 0.304 0.596
Si4 0.750 0.196 0.096
Tb1 0.250 0.487 0.196
Tb2 0.750 0.013 0.696
Tb3 0.250 0.987 0.304
Tb4 0.750 0.513 0.804
Ni1 0.750 0.341 0.425
Ni2 0.250 0.159 0.925
Ni3 0.250 0.659 0.575
Ni4 0.750 0.841 0.075

V	17.45	Å³/atom
E_tot	-6.069	eV per atom
formation energy from the elements	-789	meV per atom
symmetry	Pnma (62)

[2]
# TbSi3Ni8

A relaxed structure of TbSi3Ni8 (GGA-PBE, Materials Project).

abc: 7.503 7.503 7.483
angles: 80.27 80.27 130.29
Element x y z (fractional)
Ni1 0.148 0.567 0.672
Ni2 0.852 0.433 0.328
Ni3 0.138 0.800 0.422
Ni4 0.862 0.200 0.578
Ni5 0.290 0.440 0.931
Ni6 0.000 0.000 0.500
Ni7 0.560 0.710 0.569
Ni8 0.433 0.852 0.828
Ni9 0.800 0.138 0.922
Ni10 0.000 0.000 0.000
Ni11 0.877 0.123 0.250
Ni12 0.200 0.862 0.078
Ni13 0.123 0.877 0.750
Ni14 0.567 0.148 0.172
Ni15 0.440 0.290 0.431
Ni16 0.710 0.560 0.069
Si1 0.816 0.724 0.324
Si2 0.000 0.500 0.000
Si3 0.724 0.816 0.824
Si4 0.184 0.276 0.676
Si5 0.276 0.184 0.176
Si6 0.500 0.000 0.500
Tb1 0.370 0.630 0.250
Tb2 0.630 0.370 0.750

V	12.26	Å³/atom
E_tot	-6.170	eV per atom
formation energy from the elements	-574	meV per atom
symmetry	C2/c (15)
magnetic moment	0.000	μB per atom